Arrangement 1

Sc2H10S3O17 after structural relaxation. Source: the Materials Project, functional PBE.

Unit cell a=6.4029 b=11.8180 c=12.8371 alpha=91.02 beta=76.36 gamma=80.49
Fractional positions:
1 O 0.1893 0.6332 0.5083
2 O 0.0130 0.1729 0.4210
3 O 0.7145 0.6283 0.5300
4 O 0.3520 0.1006 0.8447
5 O 0.4100 0.7580 0.9579
6 O 0.8482 0.6593 0.4152
7 O 0.7687 0.5473 0.1378
8 O 0.6202 0.7175 0.2568
9 O 0.0665 0.4440 0.6466
10 O 0.6230 0.2139 0.4621
11 O 0.3798 0.2825 0.7432
12 O 0.8107 0.3668 0.4917
13 O 0.1404 0.8079 0.1280
14 O 0.5347 0.4454 0.2900
15 O 0.2313 0.4527 0.8622
16 O 0.8120 0.2050 0.6099
17 O 0.8580 0.3652 0.9790
18 O 0.6480 0.8994 0.1553
19 O 0.3727 0.6139 0.2099
20 O 0.3770 0.7861 0.5379
21 O 0.4653 0.5546 0.7100
22 O 0.9870 0.8271 0.5790
23 O 0.6273 0.3861 0.7901
24 O 0.6035 0.0218 0.9920
25 O 0.0212 0.8223 0.9606
26 O 0.1420 0.6348 0.0210
27 O 0.3965 0.9782 0.0080
28 O 0.8596 0.1921 0.8720
29 O 0.9335 0.5560 0.3534
30 O 0.5900 0.2420 0.0421
31 O 0.1518 0.3407 0.5848
32 O 0.1880 0.7950 0.3901
33 O 0.9788 0.1777 0.0394
34 O 0.2855 0.3717 0.4700
35 H 0.2381 0.9810 0.2798
36 H 0.3485 0.5839 0.6752
37 H 0.6719 0.9487 0.0921
38 H 0.4462 0.8974 0.9738
39 H 0.8629 0.8459 0.5466
40 H 0.7211 0.6212 0.9266
41 H 0.7241 0.4364 0.7518
42 H 0.5712 0.6838 0.5366
43 H 0.6515 0.4161 0.3248
44 H 0.7917 0.8621 0.1628
45 H 0.2083 0.1379 0.8372
46 H 0.3281 0.0513 0.9079
47 H 0.8197 0.5951 0.8818
48 H 0.1803 0.4049 0.1182
49 H 0.2759 0.5636 0.2482
50 H 0.1371 0.1541 0.4534
51 H 0.5538 0.1026 0.0262
52 H 0.4288 0.3162 0.4634
53 H 0.2789 0.3788 0.0734
54 H 0.7619 0.0190 0.7202
55 S 0.3913 0.4098 0.7575
56 S 0.8211 0.2409 0.9888
57 S 0.1966 0.7579 0.4975
58 S 0.6087 0.5902 0.2425
59 S 0.8034 0.2421 0.5025
60 S 0.1789 0.7591 0.0112
61 Sc 0.6491 0.1625 0.7772
62 Sc 0.0000 0.5000 0.5000
63 Sc 0.3509 0.8375 0.2228
64 Sc 0.0000 0.5000 0.0000

SG: No. 2

***

Arrangement 2

Sc2H10S3O17 after structural relaxation. Source: the Materials Project, functional PBE.

Unit cell a=6.6493 b=12.0468 c=11.8397 alpha=89.97 beta=99.76 gamma=85.05
Fractional positions:
1 H 0.6589 0.6744 0.8249
2 H 0.3746 0.0180 0.2786
3 H 0.7081 0.8828 0.0270
4 H 0.4021 0.8495 0.9996
5 H 0.5389 0.0957 0.3640
6 H 0.2919 0.1172 0.9730
7 H 0.6934 0.8978 0.2227
8 H 0.6254 0.9820 0.7214
9 H 0.2820 0.2771 0.1536
10 H 0.8837 0.7146 0.5360
11 H 0.3091 0.2702 0.5943
12 H 0.5979 0.1505 0.0004
13 H 0.1163 0.2854 0.4640
14 H 0.4611 0.9043 0.6360
15 H 0.6909 0.7298 0.4057
16 H 0.2396 0.6114 0.6633
17 H 0.3066 0.1022 0.7773
18 H 0.7180 0.7229 0.8464
19 H 0.7604 0.3886 0.3367
20 H 0.3411 0.3256 0.1751
21 O 0.2871 0.8018 0.9576
22 O 0.1791 0.7954 0.1461
23 O 0.6846 0.2859 0.4205
24 O 0.9273 0.8470 0.9752
25 O 0.8209 0.2046 0.8539
26 O 0.7229 0.4029 0.6823
27 O 0.6128 0.8479 0.1705
28 O 0.0872 0.6578 0.0021
29 O 0.4736 0.5167 0.8387
30 O 0.7129 0.1982 0.0424
31 O 0.3381 0.9188 0.5742
32 O 0.5264 0.4833 0.1613
33 O 0.5800 0.9090 0.0581
34 O 0.4109 0.2101 0.6348
35 O 0.8446 0.1685 0.5881
36 O 0.1554 0.8315 0.4119
37 O 0.3154 0.7141 0.5795
38 O 0.3872 0.1521 0.8295
39 O 0.9128 0.3422 0.9979
40 O 0.8587 0.6494 0.4870
41 O 0.9905 0.1578 0.4131
42 O 0.0095 0.8422 0.5869
43 O 0.8679 0.5327 0.1373
44 O 0.2771 0.5971 0.3177
45 O 0.0727 0.1530 0.0248
46 O 0.2778 0.5357 0.4016
47 O 0.1413 0.3506 0.5130
48 O 0.1743 0.5394 0.6702
49 O 0.1321 0.4673 0.8627
50 O 0.7222 0.4643 0.5984
51 O 0.5891 0.7899 0.3652
52 O 0.8257 0.4606 0.3298
53 O 0.4200 0.0910 0.9419
54 O 0.6619 0.0812 0.4258
55 S 0.6974 0.5456 0.2129
56 S 0.3026 0.4544 0.7871
57 S 0.8877 0.2214 0.9776
58 S 0.1123 0.7786 0.0224
59 S 0.8028 0.1800 0.4591
60 S 0.1972 0.8200 0.5409
61 Sc 0.3463 0.8633 0.2963
62 Sc 0.6537 0.1367 0.7037
63 Sc 0.0000 0.5000 0.5000
64 Sc 0.0000 0.5000 0.0000

SG: No. 2

***

Arrangement 3

Sc2H10S3O17 after structural relaxation. Source: the Materials Project, functional PBE.

Unit cell a=6.2766 b=11.2862 c=11.6890 alpha=100.94 beta=95.48 gamma=89.65
Fractional positions:
1 O 0.7229 0.4224 0.5559
2 O 0.5736 0.6083 0.2965
3 O 0.0148 0.6849 0.0083
4 O 0.1293 0.3208 0.4778
5 O 0.3012 0.1892 0.6013
6 O 0.8454 0.8242 0.8972
7 O 0.1939 0.1522 0.8932
8 O 0.1557 0.4663 0.8364
9 O 0.1719 0.5454 0.6598
10 O 0.2883 0.4797 0.0947
11 O 0.8392 0.1522 0.3077
12 O 0.0656 0.8447 0.4626
13 O 0.9344 0.1553 0.5374
14 O 0.4796 0.2731 0.3187
15 O 0.8707 0.6792 0.5222
16 O 0.6988 0.8108 0.3987
17 O 0.1608 0.8478 0.6923
18 O 0.2152 0.1075 0.3983
19 O 0.5204 0.7269 0.6813
20 O 0.4207 0.9561 0.8847
21 O 0.7848 0.8925 0.6017
22 O 0.4264 0.3917 0.7035
23 O 0.8487 0.1105 0.9610
24 O 0.9852 0.3151 0.9917
25 O 0.2771 0.5776 0.4441
26 O 0.8061 0.8478 0.1068
27 O 0.8443 0.5337 0.1636
28 O 0.8281 0.4546 0.3402
29 O 0.5793 0.0439 0.1153
30 O 0.7117 0.5203 0.9053
31 O 0.3458 0.8508 0.6488
32 O 0.6542 0.1492 0.3512
33 O 0.1513 0.8895 0.0390
34 O 0.1546 0.1758 0.1028
35 H 0.5784 0.2913 0.9084
36 H 0.5550 0.3575 0.9264
37 H 0.3385 0.0330 0.8813
38 H 0.2146 0.9224 0.2296
39 H 0.4548 0.5767 0.8114
40 H 0.8080 0.1548 0.4761
41 H 0.1920 0.8452 0.5239
42 H 0.6579 0.7238 0.3471
43 H 0.3424 0.5774 0.3699
44 H 0.5452 0.4233 0.1886
45 H 0.3761 0.6224 0.5083
46 H 0.6633 0.0840 0.0651
47 H 0.6239 0.3776 0.4917
48 H 0.6615 0.9670 0.1187
49 H 0.6576 0.4226 0.6301
50 H 0.3367 0.9160 0.9349
51 H 0.3421 0.2762 0.6529
52 H 0.4450 0.6425 0.0736
53 H 0.7854 0.0776 0.7704
54 H 0.4216 0.7087 0.0916
55 Sc 0.0000 0.5000 0.0000
56 Sc 0.0000 0.5000 0.5000
57 Sc 0.3568 0.1269 0.2285
58 Sc 0.6432 0.8731 0.7715
59 S 0.9547 0.8140 0.0168
60 S 0.8553 0.8050 0.5053
61 S 0.1447 0.1950 0.4947
62 S 0.7017 0.5041 0.2447
63 S 0.2983 0.4959 0.7553
64 S 0.0453 0.1860 0.9832

SG: No. 2

***

Arrangement 4

Sc2H10S3O17 after structural relaxation. Source: the Materials Project, functional PBE.

Unit cell a=6.7974 b=11.2396 c=12.4033 alpha=91.82 beta=94.86 gamma=101.04
Fractional positions:
1 O 0.3963 0.0031 0.0106
2 O 0.3036 0.2449 0.4116
3 O 0.6503 0.7653 0.9665
4 O 0.9776 0.1804 0.4852
5 O 0.8147 0.6186 0.4668
6 O 0.1507 0.5195 0.1510
7 O 0.8641 0.6320 0.0425
8 O 0.3006 0.6564 0.3033
9 O 0.0224 0.8196 0.5148
10 O 0.2379 0.6592 0.5169
11 O 0.6507 0.5578 0.7071
12 O 0.6293 0.1187 0.8119
13 O 0.7126 0.7971 0.3963
14 O 0.3707 0.8813 0.1881
15 O 0.6964 0.7551 0.5884
16 O 0.4190 0.3942 0.8108
17 O 0.9710 0.5117 0.6719
18 O 0.1740 0.1836 0.8541
19 O 0.3497 0.2347 0.0335
20 O 0.3090 0.6442 0.6294
21 O 0.5810 0.6058 0.1892
22 O 0.6910 0.3558 0.3706
23 O 0.0290 0.4883 0.3281
24 O 0.2874 0.2029 0.6037
25 O 0.7621 0.3408 0.4831
26 O 0.0230 0.8285 0.9899
27 O 0.6037 0.9969 0.9894
28 O 0.3493 0.4422 0.2929
29 O 0.6994 0.3436 0.6967
30 O 0.8260 0.8164 0.1459
31 O 0.1853 0.3814 0.5332
32 O 0.9770 0.1715 0.0101
33 O 0.8493 0.4805 0.8490
34 O 0.1359 0.3680 0.9575
35 H 0.8234 0.2633 0.4792
36 H 0.2035 0.6140 0.8758
37 H 0.3741 0.9349 0.1228
38 H 0.6470 0.5421 0.2167
39 H 0.4548 0.6583 0.6220
40 H 0.4046 0.0938 0.0207
41 H 0.2800 0.3641 0.3228
42 H 0.7860 0.0477 0.2775
43 H 0.1766 0.7367 0.5208
44 H 0.7700 0.1345 0.7954
45 H 0.7965 0.3860 0.1242
46 H 0.7200 0.6359 0.6772
47 H 0.5954 0.9062 0.9793
48 H 0.3530 0.4579 0.7833
49 H 0.2876 0.6194 0.9214
50 H 0.5452 0.3417 0.3780
51 H 0.6259 0.0651 0.8772
52 H 0.2300 0.8655 0.2046
53 H 0.7124 0.3806 0.0786
54 H 0.2140 0.9523 0.7225
55 S 0.8144 0.7512 0.4945
56 S 0.8417 0.7650 0.0316
57 S 0.2050 0.5326 0.2683
58 S 0.7950 0.4674 0.7317
59 S 0.1583 0.2350 0.9684
60 S 0.1856 0.2488 0.5055
61 Sc 0.5865 0.7651 0.2389
62 Sc 0.0000 0.5000 0.0000
63 Sc 0.0000 0.5000 0.5000
64 Sc 0.4135 0.2349 0.7611

SG: No. 2

***

Stability check: which of them is most stable? arrangement 4.

***

Arrangement 1

Si2H2O5 after structural relaxation. Source: the Materials Project, functional PBE.

Unit cell a=8.9706 b=8.9706 c=5.2222 alpha=76.16 beta=76.16 gamma=37.20
Fractional positions:
1 Si 0.1900 0.4965 0.8724
2 Si 0.4974 0.8185 0.5256
3 Si 0.4965 0.1900 0.3724
4 Si 0.8185 0.4974 0.0256
5 O 0.9627 0.2184 0.0708
6 O 0.2184 0.9627 0.5708
7 O 0.3289 0.3957 0.5818
8 O 0.4754 0.0210 0.4725
9 O 0.6257 0.6631 0.2728
10 O 0.7829 0.0237 0.3566
11 O 0.6631 0.6257 0.7728
12 O 0.0237 0.7829 0.8566
13 O 0.0210 0.4754 0.9725
14 O 0.3957 0.3289 0.0818
15 H 0.8657 0.9809 0.1764
16 H 0.0576 0.1155 0.2278
17 H 0.9809 0.8657 0.6764
18 H 0.1155 0.0576 0.7278

SG: No. 9

***

Arrangement 2

Si2H2O5 after structural relaxation. Source: the Materials Project, functional PBE.

Unit cell a=5.0949 b=6.1179 c=8.4855 alpha=109.35 beta=106.31 gamma=93.54
Fractional positions:
1 H 0.2297 0.1288 0.4738
2 H 0.7556 0.8283 0.4582
3 H 0.8121 0.4491 0.9826
4 H 0.0862 0.0619 0.6863
5 O 0.9426 0.9935 0.0082
6 O 0.6395 0.4920 0.0032
7 O 0.1952 0.0496 0.3422
8 O 0.9431 0.3906 0.2615
9 O 0.6651 0.6076 0.7412
10 O 0.6611 0.7575 0.3280
11 O 0.9345 0.9261 0.6733
12 O 0.2227 0.6841 0.8613
13 O 0.3904 0.3060 0.1772
14 O 0.2770 0.2392 0.6768
15 Si 0.9457 0.8083 0.8193
16 Si 0.6579 0.4911 0.2151
17 Si 0.4205 0.4983 0.7973
18 Si 0.1221 0.1793 0.2051

SG: No. 1

***

Arrangement 3

Si2H2O5 after structural relaxation. Source: the Materials Project, functional PBE.

Unit cell a=8.7520 b=8.7520 c=5.9549 alpha=70.52 beta=70.52 gamma=34.61
Fractional positions:
1 O 0.5700 0.1915 0.3466
2 O 0.1739 0.1472 0.9532
3 O 0.2859 0.9155 0.6209
4 O 0.9413 0.0587 0.0000
5 O 0.8085 0.4300 0.6534
6 O 0.8528 0.8261 0.0468
7 O 0.2851 0.3797 0.7707
8 O 0.5029 0.4971 0.5000
9 O 0.0845 0.7141 0.3791
10 O 0.6203 0.7149 0.2293
11 H 0.1453 0.5318 0.8707
12 H 0.7664 0.7879 0.1322
13 H 0.4682 0.8547 0.1293
14 H 0.2121 0.2336 0.8678
15 Si 0.3644 0.4440 0.4978
16 Si 0.5560 0.6356 0.5022
17 Si 0.0510 0.1401 0.8069
18 Si 0.8599 0.9490 0.1931

SG: No. 5
Piezoelectric modulus e_max in C/m2: 0.444

***

Stability check: which of them is most stable? arrangement 3.

***

Arrangement 1

SiH2O after structural relaxation. Source: the Materials Project, functional PBE.

Unit cell a=3.4197 b=2.9554 c=5.2176 alpha=80.97 beta=90.05 gamma=58.36
Fractional positions:
1 Si 0.2693 0.4580 0.8839
2 H 0.7309 0.5427 0.8146
3 H 0.1953 0.6278 0.2988
4 O 0.3334 0.3136 0.2126

SG: No. 1

***

Arrangement 2

SiH2O after structural relaxation. Source: the Materials Project, functional PBE.

Unit cell a=4.0172 b=4.8319 c=7.3590 alpha=90.00 beta=109.00 gamma=126.97
Fractional positions:
1 O 0.3883 0.6941 0.2688
2 Si 0.2250 0.6125 0.4396
3 H 0.5723 0.7861 0.6499
4 H 0.7565 0.3783 0.4317

SG: No. 8

***

Arrangement 3

SiH2O after structural relaxation. Source: the Materials Project, functional PBE.

Unit cell a=3.0688 b=3.0688 c=5.0132 alpha=87.35 beta=87.35 gamma=73.14
Fractional positions:
1 Si 0.6810 0.6810 0.2672
2 H 0.8112 0.8112 0.6980
3 H 0.3364 0.3364 0.2206
4 O 0.6425 0.6425 0.6042

SG: No. 8

***

Stability check: which of them is most stable? arrangement 3.